Entry 1:
NbPO5, optimized geometry, DFT PBE-GGA; polymorph energy (0 for the lowest one) = 85.70 kJ per mole of atoms; formation energy from the elements = -2.04 eV/atom
1.0
7.9728 0.0000 0.0000
0.0000 5.3737 0.0000
-1.3033 0.0000 4.7309
Nb P O
2 2 10
Cartesian
-0.3258 0.8764 1.1827
-0.9775 4.4973 3.5482
3.6606 2.3403 1.1827
3.0089 3.0334 3.5482
-0.9775 2.6159 3.5482
-0.3258 2.7578 1.1827
1.2352 0.1197 0.2597
0.5835 5.2539 2.6252
2.3179 2.2272 2.3327
1.6662 3.1465 4.6982
5.0033 2.2272 0.0328
4.3516 3.1465 2.3982
6.0860 0.1197 2.1057
5.4343 5.2539 4.4712



Entry 2:
PrCd20Pd2, optimized geometry, DFT PBE-GGA; formation energy from the elements = -0.19 eV/atom
1.0
0.0000 7.9857 7.9857
7.9857 0.0000 7.9857
7.9857 7.9857 0.0000
Pr Cd Pd
2 40 4
Cartesian
1.9964 1.9964 1.9964
13.9749 13.9749 13.9749
0.0000 0.0000 0.0000
3.9928 3.9928 0.0000
3.9928 0.0000 3.9928
5.1585 3.0297 3.0297
8.9488 6.8199 3.0297
8.9488 3.0297 6.8199
10.8128 7.0225 7.0225
12.9416 9.1514 7.0225
12.9416 7.0225 9.1514
5.9892 5.9892 3.7913
5.9892 3.7913 5.9892
8.1872 5.9892 5.9892
3.0297 5.1585 3.0297
6.8199 8.9488 3.0297
3.0297 3.0297 5.1585
8.9488 8.9488 5.1585
6.8199 3.0297 8.9488
8.9488 5.1585 8.9488
9.9821 9.9821 7.7841
9.9821 7.7841 9.9821
12.1800 9.9821 9.9821
0.0000 3.9928 3.9928
3.7913 5.9892 5.9892
5.9892 8.1872 5.9892
5.9892 5.9892 8.1872
7.0225 10.8128 7.0225
9.1514 12.9416 7.0225
7.0225 7.0225 10.8128
12.9416 12.9416 10.8128
9.1514 7.0225 12.9416
12.9416 10.8128 12.9416
7.7841 9.9821 9.9821
9.9821 12.1800 9.9821
9.9821 9.9821 12.1800
3.0297 8.9488 6.8199
3.0297 6.8199 8.9488
5.1585 8.9488 8.9488
7.0225 12.9416 9.1514
7.0225 9.1514 12.9416
10.8128 12.9416 12.9416
7.9857 3.9928 3.9928
3.9928 7.9857 3.9928
3.9928 3.9928 7.9857
7.9857 7.9857 7.9857



Entry 3:
NdSiRu, optimized geometry, DFT PBE-GGA; formation energy from the elements = -0.78 eV/atom
1.0
4.2351 0.0000 0.0000
0.0000 4.2351 0.0000
0.0000 0.0000 6.9428
Nd Si Ru
2 2 2
Cartesian
1.0588 1.0588 1.2392
3.1763 3.1763 5.7036
1.0588 1.0588 4.6793
3.1763 3.1763 2.2635
1.0588 3.1763 3.4714
3.1763 1.0588 3.4714



Entry 4:
Li3Ti2P3O12, optimized geometry, DFT PBE-GGA; polymorph energy (0 for the lowest one) = 0.68 kJ per mole of atoms; formation energy from the elements = -2.87 eV/atom
1.0
8.5245 0.0000 0.0000
0.0000 8.9058 0.0000
-8.2919 0.0000 12.1219
Li Ti P O
12 8 12 48
Cartesian
-2.6581 1.9389 3.9042
-6.8040 2.5140 9.9652
-4.6137 4.5592 10.2725
-0.4678 8.7996 4.2116
0.7828 5.2161 3.7887
-3.3632 8.1427 9.8497
3.5957 0.7632 2.2722
-0.5503 3.6897 8.3331
0.7003 0.1062 7.9103
4.8463 4.3467 1.8494
7.0366 6.3918 2.1567
2.8906 6.9669 8.2176
-2.0930 4.7731 4.7918
-6.2390 8.5856 10.8528
2.0926 4.6830 1.2656
-2.0534 8.6758 7.3265
2.2859 0.2300 4.7953
-1.8601 4.2229 10.8563
6.4715 0.3202 1.2691
2.3255 4.1327 7.3300
-5.0919 0.9728 7.8864
-0.9460 3.4802 1.8254
-3.1522 5.5181 7.9365
0.9938 7.8406 1.8756
-0.2422 2.2266 5.9458
-4.3881 2.2263 12.0067
4.6207 6.6796 0.1151
0.4747 6.6792 6.1761
-0.7613 1.0652 10.2463
3.3847 3.3877 4.1853
1.1785 5.4257 10.2964
5.3245 7.9331 4.2355
-1.4379 2.0871 2.2808
-5.5839 2.3658 8.3417
-1.0030 4.4881 3.0369
-5.1490 8.8707 9.0978
-4.6179 5.1471 8.3498
-0.4720 8.2116 2.2889
-3.6698 0.9744 7.3150
0.4762 3.4785 1.2540
-6.3128 4.8456 11.3197
-2.1668 8.5132 5.2587
-2.9491 5.2163 6.4352
1.1968 8.1425 0.3743
-5.6538 1.6060 11.3558
-1.5078 2.8469 5.2949
1.0931 6.3021 2.0939
-3.0529 7.0566 8.1548
-0.3214 5.5989 5.4202
-4.4674 7.7599 11.4812
-2.1453 4.7096 8.7716
2.0007 8.6491 2.7107
0.5867 1.4837 4.8654
-3.5593 2.9692 10.9263
-0.6986 1.2354 7.0586
3.4474 3.2175 0.9977
-3.2149 5.6884 11.1242
0.9311 7.6704 5.0632
3.7918 5.9366 1.1955
-0.3541 7.4222 7.2565
-1.7681 0.2567 9.4112
2.3778 4.1962 3.3502
4.6999 1.1459 0.6407
0.5540 3.3070 6.7016
3.2854 1.8492 3.9670
-0.8606 2.6037 10.0280
1.7404 6.0589 6.8270
5.8863 7.2999 0.7661
-0.9643 0.7634 11.7476
3.1817 3.6895 5.6867
2.3994 0.3926 6.8631
6.5453 4.0603 0.8022
-0.2437 5.4274 10.8678
3.9023 7.9314 4.8069
0.7045 0.6942 9.8330
4.8505 3.7587 3.7721
5.3815 0.0352 3.0240
1.2355 4.4178 9.0850
5.8164 6.5400 3.7801
1.6704 6.8188 9.8411



Entry 5:
CaB2O4, optimized geometry, DFT PBE-GGA; polymorph energy (0 for the lowest one) = 0.00 kJ per mole of atoms; formation energy from the elements = -3.13 eV/atom
1.0
8.4341 0.0000 0.0000
0.0000 14.0014 0.0000
0.0000 0.0000 5.0555
Ca B O
8 16 32
Cartesian
0.9721 2.0097 0.6021
0.9721 4.9910 3.1299
3.2450 2.0097 3.1299
3.2450 4.9910 0.6021
5.1891 9.0105 4.4533
5.1891 11.9917 1.9256
7.4621 9.0105 1.9256
7.4621 11.9917 4.4533
0.3094 8.9317 4.4286
0.3094 12.0704 1.9009
2.0705 7.7160 0.6599
2.0705 13.2862 3.1876
2.1466 7.7160 3.1876
2.1466 13.2862 0.6599
3.9077 8.9317 1.9009
3.9077 12.0704 4.4286
4.5265 1.9310 0.6269
4.5265 5.0697 3.1546
6.2876 0.7153 4.3956
6.2876 6.2854 1.8679
6.3636 0.7153 1.8679
6.3636 6.2854 4.3956
8.1247 1.9310 3.1546
8.1247 5.0697 0.6269
0.8484 8.5417 0.5782
0.8484 12.4604 3.1059
0.8874 2.6059 3.1764
0.8874 4.3948 0.6486
0.9392 8.5994 3.2513
0.9392 12.4027 0.7236
2.0335 0.1088 4.4503
2.0335 6.8919 1.9225
2.1836 0.1088 1.9225
2.1836 6.8919 4.4503
3.2778 8.5994 0.7236
3.2778 12.4027 3.2513
3.3296 2.6059 0.6486
3.3296 4.3948 3.1764
3.3687 8.5417 3.1059
3.3687 12.4604 0.5782
5.0654 1.5410 4.4773
5.0654 5.4597 1.9495
5.1045 9.6066 1.8791
5.1045 11.3955 4.4068
5.1563 1.5987 1.8042
5.1563 5.4020 4.3319
6.2506 7.1095 0.6052
6.2506 13.8926 3.1329
6.4007 7.1095 3.1329
6.4007 13.8926 0.6052
7.4949 1.5987 4.3319
7.4949 5.4020 1.8042
7.5467 9.6066 4.4068
7.5467 11.3955 1.8791
7.5858 1.5410 1.9495
7.5858 5.4597 4.4773



Entry 6:
RbB5O8, optimized geometry, DFT PBE-GGA; formation energy from the elements = -2.84 eV/atom
1.0
7.8291 0.0000 0.0000
0.0000 12.0743 0.0000
0.0000 0.0000 14.9958
Rb B O
8 40 64
Cartesian
0.5280 2.5119 1.8162
0.5280 3.5252 9.3141
3.3866 8.5491 1.8162
3.3866 9.5624 9.3141
4.4425 2.5119 5.6817
4.4425 3.5252 13.1795
7.3011 8.5491 5.6817
7.3011 9.5624 13.1795
0.1170 6.3831 2.3469
0.1170 11.7283 9.8448
0.3748 2.7460 5.6075
0.3748 3.2912 13.1054
0.5460 1.1940 11.8024
0.5460 4.8431 4.3045
0.7655 7.1999 8.7025
0.7655 10.9115 1.2046
1.5105 0.8811 6.8214
1.5105 5.1560 14.3193
2.4040 6.9182 6.8214
2.4040 11.1932 14.3193
3.1490 1.1628 8.7025
3.1490 4.8744 1.2046
3.3685 7.2311 11.8024
3.3685 10.8803 4.3045
3.5398 8.7831 5.6075
3.5398 9.3283 13.1054
3.7975 0.3460 2.3469
3.7975 5.6911 9.8448
4.0316 6.3831 5.1510
4.0316 11.7283 12.6489
4.2893 2.7460 1.8904
4.2893 3.2912 9.3883
4.4606 1.1940 10.6913
4.4606 4.8431 3.1934
4.6801 7.1999 13.7912
4.6801 10.9115 6.2933
5.4251 0.8811 0.6765
5.4251 5.1560 8.1744
6.3185 6.9182 0.6765
6.3185 11.1932 8.1744
7.0636 1.1628 13.7912
7.0636 4.8744 6.2933
7.2831 7.2311 10.6913
7.2831 10.8803 3.1934
7.4543 8.7831 1.8904
7.4543 9.3283 9.3883
7.7120 0.3460 5.1510
7.7120 5.6911 12.6489
0.1786 6.4877 9.7508
0.1786 11.6238 2.2529
0.3798 7.6912 2.5699
0.3798 10.4203 10.0678
0.5719 8.5339 8.5629
0.5719 9.5776 1.0650
0.7590 0.6651 10.5514
0.7590 5.3721 3.0535
0.7885 6.1228 13.6226
0.7885 11.9886 6.1247
0.9858 2.4535 12.0565
0.9858 3.5837 4.5586
1.4096 2.1975 6.5073
1.4096 3.8396 14.0052
1.5611 6.4599 7.8327
1.5611 11.6516 0.3348
2.3534 0.4227 7.8327
2.3534 5.6144 0.3348
2.5049 8.2347 6.5073
2.5049 9.8768 14.0052
2.9288 8.4906 12.0565
2.9288 9.6208 4.5586
3.1260 0.0857 13.6226
3.1260 5.9515 6.1247
3.1555 6.7022 10.5514
3.1555 11.4092 3.0535
3.3427 2.4967 8.5629
3.3427 3.5404 1.0650
3.5347 1.6540 2.5699
3.5347 4.3831 10.0678
3.7359 0.4505 9.7508
3.7359 5.5866 2.2529
4.0931 6.4877 12.7429
4.0931 11.6238 5.2450
4.2944 7.6912 4.9280
4.2944 10.4203 12.4259
4.4864 8.5339 13.9308
4.4864 9.5776 6.4329
4.6736 0.6651 11.9423
4.6736 5.3721 4.4444
4.7031 6.1228 8.8711
4.7031 11.9886 1.3732
4.9003 2.4535 10.4372
4.9003 3.5837 2.9393
5.3241 2.1975 0.9906
5.3241 3.8396 8.4885
5.4756 6.4599 14.6610
5.4756 11.6516 7.1631
6.2680 0.4227 14.6610
6.2680 5.6144 7.1631
6.4195 8.2347 0.9906
6.4195 9.8768 8.4885
6.8433 8.4906 10.4372
6.8433 9.6208 2.9393
7.0406 0.0857 8.8711
7.0406 5.9515 1.3732
7.0700 6.7022 11.9423
7.0700 11.4092 4.4444
7.2572 2.4967 13.9308
7.2572 3.5404 6.4329
7.4493 1.6540 4.9280
7.4493 4.3831 12.4259
7.6505 0.4505 12.7429
7.6505 5.5866 5.2450



Entry 7:
BaZrP2, optimized geometry, DFT PBE-GGA; formation energy from the elements = -0.87 eV/atom
1.0
3.9501 0.0000 0.0000
-1.9751 3.4209 0.0000
0.0000 0.0000 15.3698
Ba Zr P
2 2 4
Cartesian
0.0000 0.0000 0.0000
0.0000 0.0000 7.6849
0.0000 0.0000 3.8425
0.0000 0.0000 11.5274
0.0000 2.2806 2.3171
0.0000 2.2806 5.3678
1.9751 1.1403 10.0020
1.9751 1.1403 13.0527



Entry 8:
ZnIn2Cu2S5, optimized geometry, DFT PBE-GGA; formation energy from the elements = -0.77 eV/atom
1.0
10.2269 -1.9703 0.0000
10.2269 1.9703 0.0000
-1.4946 0.0000 5.3316
Zn In Cu S
1 2 2 5
Cartesian
0.0000 0.0000 0.0000
3.6358 0.0000 1.0294
7.5055 0.0000 2.1550
11.2914 0.0000 3.1302
15.0670 0.0000 4.2214
1.3175 0.0000 1.9247
5.1777 0.0000 3.0373
9.1325 0.0000 4.0439
12.8459 0.0000 4.8775
18.1180 0.0000 0.6294



Entry 9:
LaU2O6, optimized geometry, DFT PBE-GGA; formation energy from the elements = -3.85 eV/atom
1.0
-1.9428 2.7651 5.7617
1.9428 -2.7651 5.7617
1.9428 2.7651 -5.7617
La U O
1 2 6
Cartesian
0.0000 0.0000 0.0000
0.0000 0.0000 3.8421
0.0000 0.0000 7.6813
1.9428 -1.3247 3.7487
1.9428 1.5013 0.0000
0.0000 1.4403 2.0130
1.9428 1.3247 3.7487
0.0000 1.2638 5.7617
0.0000 4.0898 2.0130



Entry 10:
U8FeS17, optimized geometry, DFT PBE-GGA; formation energy from the elements = -1.67 eV/atom
1.0
6.5479 -4.1327 0.0000
6.5479 4.1327 0.0000
-1.9776 0.0000 10.0399
U Fe S
8 1 17
Cartesian
4.2002 2.1411 7.9877
0.7681 0.0000 9.5781
6.9180 2.1411 2.0522
3.1985 0.0000 4.8479
7.9197 0.0000 5.1921
4.2002 -2.1411 7.9877
10.3501 0.0000 0.4619
6.9180 -2.1411 2.0522
-0.9888 0.0000 5.0200
0.0000 0.0000 0.0000
3.8050 2.5939 5.2676
-0.6815 0.0000 7.2455
4.8207 1.5950 0.3520
2.3434 0.0000 2.2258
2.4703 0.0000 7.4635
7.3131 2.5939 4.7723
6.2975 1.5950 9.6879
5.6059 0.0000 3.3205
5.5122 0.0000 6.7194
4.8207 -1.5950 0.3520
3.8050 -2.5939 5.2676
8.6479 0.0000 2.5764
8.7748 0.0000 7.8141
6.2975 -1.5950 9.6879
11.7996 0.0000 2.7944
7.3131 -2.5939 4.7723